No. 1
# K2ZnSiO4

Crystalline K2ZnSiO4 at its relaxed geometry (PBE-GGA, the Materials Project). Values from VASP.

Calculated values
Energy of formation: -57.0 kcal/mol of atoms
Total magnetic moment: 0.00 Bohr magnetons per cell
E: -5.71 eV/atom
Calculated density: 3.26 g/cm3

Quantum ESPRESSO input file:
```
&SYSTEM
  ibrav = 0, nat = 64, ntyp = 4
/
ATOMIC_SPECIES
K 39.10 K.upf
Zn 65.41 Zn.upf
Si 28.09 Si.upf
O 16.00 O.upf
CELL_PARAMETERS angstrom
11.0686 0.0000 0.0000
0.0000 5.5005 0.0000
0.0000 0.0000 15.7967
ATOMIC_POSITIONS crystal
K 0.0144 0.0016 0.0000
K 0.0138 0.5047 0.3768
K 0.2355 0.5499 0.7527
K 0.2382 0.0475 0.6218
K 0.2618 0.0475 0.1218
K 0.2645 0.5499 0.2527
K 0.4856 0.0016 0.5000
K 0.4862 0.5047 0.8768
K 0.5138 0.4953 0.3768
K 0.5144 0.9984 0.0000
K 0.7355 0.4501 0.7527
K 0.7382 0.9525 0.6218
K 0.7618 0.9525 0.1218
K 0.7645 0.4501 0.2527
K 0.9862 0.4953 0.8768
K 0.9856 0.9984 0.5000
Zn 0.0079 0.5076 0.1268
Zn 0.2409 0.0345 0.8743
Zn 0.2591 0.0345 0.3743
Zn 0.4921 0.5076 0.6268
Zn 0.5079 0.4924 0.1268
Zn 0.7409 0.9655 0.8743
Zn 0.7591 0.9655 0.3743
Zn 0.9921 0.4924 0.6268
Si 0.0075 0.0097 0.2489
Si 0.2359 0.5320 0.5024
Si 0.2641 0.5320 0.0024
Si 0.4925 0.0097 0.7489
Si 0.5075 0.9903 0.2489
Si 0.7359 0.4680 0.5024
Si 0.7641 0.4680 0.0024
Si 0.9925 0.9903 0.7489
O 0.0132 0.2820 0.7277
O 0.0220 0.8330 0.6618
O 0.0840 0.9132 0.8276
O 0.1079 0.4067 0.5354
O 0.1487 0.0708 0.2772
O 0.1737 0.5683 0.0846
O 0.2035 0.8009 0.4609
O 0.2043 0.3516 0.9296
O 0.2957 0.3516 0.4296
O 0.2965 0.8009 0.9609
O 0.3263 0.5683 0.5846
O 0.3513 0.0708 0.7772
O 0.3921 0.4067 0.0354
O 0.4160 0.9132 0.3276
O 0.4780 0.8330 0.1618
O 0.4868 0.2820 0.2277
O 0.5132 0.7180 0.7277
O 0.5220 0.1670 0.6618
O 0.5840 0.0868 0.8276
O 0.6079 0.5933 0.5354
O 0.6487 0.9292 0.2772
O 0.6737 0.4317 0.0846
O 0.7035 0.1991 0.4609
O 0.7043 0.6484 0.9296
O 0.7957 0.6484 0.4296
O 0.7965 0.1991 0.9609
O 0.8263 0.4317 0.5846
O 0.8513 0.9292 0.7772
O 0.8921 0.5933 0.0354
O 0.9160 0.0868 0.3276
O 0.9780 0.1670 0.1618
O 0.9868 0.7180 0.2277
```

=====

No. 2
# K2ZrSi3O10

Crystalline K2ZrSi3O10 at its relaxed geometry (PBE-GGA, the Materials Project). Values from VASP.

Calculated values
Energy of formation: -66.7 kcal/mol of atoms
Total magnetic moment: 7.91 Bohr magnetons per cell
E: -7.25 eV/atom
Calculated density: 2.68 g/cm3

Quantum ESPRESSO input file:
```
&SYSTEM
  ibrav = 0, nat = 64, ntyp = 4
/
ATOMIC_SPECIES
K 39.10 K.upf
Zr 91.22 Zr.upf
Si 28.09 Si.upf
O 16.00 O.upf
CELL_PARAMETERS angstrom
7.2766 0.0000 0.0000
0.0000 10.4130 0.0000
0.0000 0.0000 13.5208
ATOMIC_POSITIONS crystal
K 0.1564 0.2256 0.1346
K 0.2244 0.0735 0.4181
K 0.2756 0.9265 0.9181
K 0.3436 0.7744 0.6346
K 0.6564 0.2744 0.8654
K 0.7244 0.4265 0.5819
K 0.7756 0.5735 0.0819
K 0.8436 0.7256 0.3654
Zr 0.2414 0.5537 0.2070
Zr 0.2586 0.4463 0.7070
Zr 0.7414 0.9463 0.7930
Zr 0.7586 0.0537 0.2930
Si 0.0073 0.1720 0.6747
Si 0.0796 0.8640 0.1668
Si 0.2331 0.4720 0.4494
Si 0.2669 0.5280 0.9494
Si 0.4204 0.1360 0.6668
Si 0.4927 0.8280 0.1747
Si 0.5073 0.3280 0.3253
Si 0.5796 0.6360 0.8332
Si 0.7331 0.0280 0.5506
Si 0.7669 0.9720 0.0506
Si 0.9204 0.3640 0.3332
Si 0.9927 0.6720 0.8253
O 0.0025 0.4438 0.2398
O 0.0205 0.4126 0.4378
O 0.0370 0.3254 0.6851
O 0.0582 0.7100 0.1839
O 0.0887 0.6096 0.7281
O 0.1276 0.6495 0.9224
O 0.1328 0.2062 0.9194
O 0.2024 0.0975 0.6473
O 0.2238 0.4850 0.0614
O 0.2472 0.4151 0.8654
O 0.2528 0.5849 0.3654
O 0.2762 0.5150 0.5614
O 0.2976 0.9025 0.1473
O 0.3672 0.7938 0.4194
O 0.3724 0.3505 0.4224
O 0.4113 0.3904 0.2281
O 0.4418 0.2900 0.6839
O 0.4630 0.6746 0.1851
O 0.4795 0.5874 0.9378
O 0.4975 0.5562 0.7398
O 0.5025 0.0562 0.7602
O 0.5205 0.0874 0.5622
O 0.5370 0.1746 0.3149
O 0.5582 0.7900 0.8161
O 0.5887 0.8904 0.2719
O 0.6276 0.8505 0.0776
O 0.6328 0.2938 0.0806
O 0.7024 0.4025 0.3527
O 0.7238 0.0150 0.9386
O 0.7472 0.0849 0.1346
O 0.7528 0.9151 0.6346
O 0.7762 0.9850 0.4386
O 0.7976 0.5975 0.8527
O 0.8672 0.7062 0.5806
O 0.8724 0.1495 0.5776
O 0.9113 0.1096 0.7719
O 0.9418 0.2100 0.3161
O 0.9630 0.8254 0.8149
O 0.9795 0.9126 0.0622
O 0.9975 0.9438 0.2602
```

=====

No. 3
# K2ZrSi3O11

Crystalline K2ZrSi3O11 at its relaxed geometry (PBE-GGA, the Materials Project). Values from VASP.

Calculated values
Energy of formation: -59.8 kcal/mol of atoms
Total magnetic moment: 8.00 Bohr magnetons per cell
E: -6.94 eV/atom
Calculated density: 2.67 g/cm3

Quantum ESPRESSO input file:
```
&SYSTEM
  ibrav = 0, nat = 34, ntyp = 4
/
ATOMIC_SPECIES
K 39.10 K.upf
Zr 91.22 Zr.upf
Si 28.09 Si.upf
O 16.00 O.upf
CELL_PARAMETERS angstrom
4.1013 -5.3901 0.0000
4.1013 5.3901 0.0000
0.0000 0.0000 12.1060
ATOMIC_POSITIONS crystal
K 0.0277 0.6252 0.5499
K 0.3748 0.9723 0.9501
K 0.6252 0.0277 0.4501
K 0.9723 0.3748 0.0499
Zr 0.0925 0.9075 0.2500
Zr 0.9075 0.0925 0.7500
Si 0.1732 0.1732 0.5000
Si 0.2104 0.4345 0.2911
Si 0.4345 0.2104 0.7089
Si 0.5655 0.7896 0.2089
Si 0.7896 0.5655 0.7911
Si 0.8268 0.8268 0.0000
O 0.0252 0.8478 0.0787
O 0.0662 0.5897 0.2743
O 0.1335 0.2221 0.2235
O 0.1522 0.9748 0.4213
O 0.2110 0.3855 0.4254
O 0.2221 0.1335 0.7765
O 0.2933 0.5503 0.9026
O 0.3855 0.2110 0.5746
O 0.4103 0.9338 0.2257
O 0.4470 0.5530 0.2500
O 0.4497 0.7067 0.5974
O 0.5503 0.2933 0.0974
O 0.5530 0.4470 0.7500
O 0.5897 0.0662 0.7257
O 0.6145 0.7890 0.0746
O 0.7067 0.4497 0.4026
O 0.7779 0.8665 0.2765
O 0.7890 0.6145 0.9254
O 0.8478 0.0252 0.9213
O 0.8665 0.7779 0.7235
O 0.9338 0.4103 0.7743
O 0.9748 0.1522 0.5787
```

=====

No. 4
# K2ZrSi3O10

Crystalline K2ZrSi3O10 at its relaxed geometry (PBE-GGA, the Materials Project). Values from VASP.

Calculated values
Energy of formation: -66.7 kcal/mol of atoms
Total magnetic moment: 8.00 Bohr magnetons per cell
E: -7.25 eV/atom
Calculated density: 2.69 g/cm3

Quantum ESPRESSO input file:
```
&SYSTEM
  ibrav = 0, nat = 64, ntyp = 4
/
ATOMIC_SPECIES
K 39.10 K.upf
Zr 91.22 Zr.upf
Si 28.09 Si.upf
O 16.00 O.upf
CELL_PARAMETERS angstrom
6.6788 0.0000 0.0000
0.0000 11.8653 0.0000
-3.5539 0.0000 12.8906
ATOMIC_POSITIONS crystal
K 0.1749 0.1141 0.3767
K 0.1749 0.3859 0.8767
K 0.3223 0.0494 0.0945
K 0.3223 0.4506 0.5945
K 0.6777 0.5494 0.4055
K 0.6777 0.9506 0.9055
K 0.8251 0.6141 0.1233
K 0.8251 0.8859 0.6233
Zr 0.3714 0.7136 0.7786
Zr 0.3714 0.7864 0.2786
Zr 0.6286 0.2136 0.7214
Zr 0.6286 0.2864 0.2214
Si 0.0925 0.1858 0.6517
Si 0.0925 0.3142 0.1517
Si 0.2882 0.7375 0.0170
Si 0.2882 0.7625 0.5170
Si 0.3396 0.5282 0.1543
Si 0.3396 0.9718 0.6543
Si 0.6604 0.0282 0.3457
Si 0.6604 0.4718 0.8457
Si 0.7118 0.2375 0.4830
Si 0.7118 0.2625 0.9830
Si 0.9075 0.6858 0.8483
Si 0.9075 0.8142 0.3483
O 0.0340 0.7458 0.9598
O 0.0340 0.7542 0.4598
O 0.0586 0.6805 0.7708
O 0.0586 0.8195 0.2708
O 0.1016 0.0060 0.8551
O 0.1016 0.4940 0.3551
O 0.1380 0.0563 0.6164
O 0.1380 0.4437 0.1164
O 0.2998 0.6127 0.2431
O 0.2998 0.8873 0.7431
O 0.3077 0.2476 0.2007
O 0.3077 0.2524 0.7007
O 0.3326 0.6837 0.6195
O 0.3326 0.8163 0.1195
O 0.3477 0.6041 0.0518
O 0.3477 0.8959 0.5518
O 0.4211 0.7328 0.4352
O 0.4211 0.7672 0.9352
O 0.4460 0.5426 0.8075
O 0.4460 0.9574 0.3075
O 0.5540 0.0426 0.6925
O 0.5540 0.4574 0.1925
O 0.5789 0.2328 0.0648
O 0.5789 0.2672 0.5648
O 0.6523 0.1041 0.4482
O 0.6523 0.3959 0.9482
O 0.6674 0.1837 0.8805
O 0.6674 0.3163 0.3805
O 0.6923 0.7476 0.2993
O 0.6923 0.7524 0.7993
O 0.7002 0.1127 0.2569
O 0.7002 0.3873 0.7569
O 0.8620 0.5563 0.8836
O 0.8620 0.9437 0.3836
O 0.8984 0.5060 0.6449
O 0.8984 0.9940 0.1449
O 0.9414 0.1805 0.7292
O 0.9414 0.3195 0.2292
O 0.9660 0.2458 0.5402
O 0.9660 0.2542 0.0402
```

=====

No. 5
# KSmO2

Crystalline KSmO2 at its relaxed geometry (PBE-GGA, the Materials Project). Values from VASP.

Calculated values
Energy of formation: -69.5 kcal/mol of atoms
E: -6.60 eV/atom
Calculated density: 5.26 g/cm3

Quantum ESPRESSO input file:
```
&SYSTEM
  ibrav = 0, nat = 4, ntyp = 3
/
ATOMIC_SPECIES
K 39.10 K.upf
Sm 150.36 Sm.upf
O 16.00 O.upf
CELL_PARAMETERS angstrom
1.7899 1.0334 6.3027
-1.7899 1.0334 6.3027
0.0000 -2.0668 6.3027
ATOMIC_POSITIONS crystal
K 0.0000 0.0000 0.0000
Sm 0.5000 0.5000 0.5000
O 0.2299 0.2299 0.2299
O 0.7701 0.7701 0.7701
```

=====

No. 6
# KSmTi4O12

Crystalline KSmTi4O12 at its relaxed geometry (PBE-GGA, the Materials Project). Values from VASP.

Calculated values
Energy of formation: -67.1 kcal/mol of atoms
Total magnetic moment: 4.00 Bohr magnetons per cell
E: -7.83 eV/atom
Calculated density: 4.04 g/cm3

Quantum ESPRESSO input file:
```
&SYSTEM
  ibrav = 0, nat = 18, ntyp = 4
/
ATOMIC_SPECIES
K 39.10 K.upf
Sm 150.36 Sm.upf
Ti 47.87 Ti.upf
O 16.00 O.upf
CELL_PARAMETERS angstrom
7.8242 0.0000 0.0000
0.0000 3.8779 3.8802
0.0000 -3.8779 3.8802
ATOMIC_POSITIONS crystal
K 0.0000 0.0000 0.0000
Sm 0.5000 0.4794 0.4794
Ti 0.2415 0.4963 0.9883
Ti 0.2415 0.9883 0.4963
Ti 0.7585 0.4963 0.9883
Ti 0.7585 0.9883 0.4963
O 0.0000 0.5027 0.9872
O 0.0000 0.9872 0.5027
O 0.2590 0.2545 0.2545
O 0.2712 0.2508 0.7378
O 0.2712 0.7378 0.2508
O 0.2821 0.7321 0.7321
O 0.5000 0.0208 0.4818
O 0.5000 0.4818 0.0208
O 0.7179 0.7321 0.7321
O 0.7288 0.2508 0.7378
O 0.7288 0.7378 0.2508
O 0.7410 0.2545 0.2545
```

=====

No. 7
# K2Sn3O7

Crystalline K2Sn3O7 at its relaxed geometry (PBE-GGA, the Materials Project). Values from VASP.

Calculated values
Energy of formation: -48.2 kcal/mol of atoms
Total magnetic moment: 0.00 Bohr magnetons per cell
E: -5.76 eV/atom
Calculated density: 5.12 g/cm3

Quantum ESPRESSO input file:
```
&SYSTEM
  ibrav = 0, nat = 48, ntyp = 3
/
ATOMIC_SPECIES
K 39.10 K.upf
Sn 118.71 Sn.upf
O 16.00 O.upf
CELL_PARAMETERS angstrom
17.1132 0.0000 0.0000
0.0000 3.1982 0.0000
0.0000 0.0000 12.9416
ATOMIC_POSITIONS crystal
K 0.0659 0.2500 0.1057
K 0.1944 0.2500 0.5580
K 0.3056 0.7500 0.0580
K 0.4341 0.7500 0.6057
K 0.5659 0.2500 0.3943
K 0.6944 0.2500 0.9420
K 0.8056 0.7500 0.4420
K 0.9341 0.7500 0.8943
Sn 0.0188 0.7500 0.3884
Sn 0.1245 0.2500 0.8327
Sn 0.2081 0.2500 0.2902
Sn 0.2919 0.7500 0.7902
Sn 0.3755 0.7500 0.3327
Sn 0.4812 0.2500 0.8884
Sn 0.5188 0.7500 0.1116
Sn 0.6245 0.2500 0.6673
Sn 0.7081 0.2500 0.2098
Sn 0.7919 0.7500 0.7098
Sn 0.8755 0.7500 0.1673
Sn 0.9812 0.2500 0.6116
O 0.0191 0.2500 0.7579
O 0.0514 0.7500 0.5532
O 0.0950 0.7500 0.9279
O 0.0996 0.2500 0.3693
O 0.1740 0.7500 0.7387
O 0.1783 0.7500 0.1961
O 0.2491 0.2500 0.8876
O 0.2509 0.7500 0.3876
O 0.3217 0.2500 0.6961
O 0.3260 0.2500 0.2387
O 0.4004 0.7500 0.8693
O 0.4050 0.2500 0.4279
O 0.4486 0.2500 0.0532
O 0.4809 0.7500 0.2579
O 0.5191 0.2500 0.7421
O 0.5514 0.7500 0.9468
O 0.5950 0.7500 0.5721
O 0.5996 0.2500 0.1307
O 0.6740 0.7500 0.7613
O 0.6783 0.7500 0.3039
O 0.7491 0.2500 0.6124
O 0.7509 0.7500 0.1124
O 0.8217 0.2500 0.8039
O 0.8260 0.2500 0.2613
O 0.9004 0.7500 0.6307
O 0.9050 0.2500 0.0721
O 0.9486 0.2500 0.4468
O 0.9809 0.7500 0.2421
```

=====

No. 8
# K2SnO6

Crystalline K2SnO6 at its relaxed geometry (PBE-GGA, the Materials Project). Values from VASP.

Calculated values
Energy of formation: -25.5 kcal/mol of atoms
Total magnetic moment: 2.00 Bohr magnetons per cell
E: -4.99 eV/atom
Calculated density: 2.94 g/cm3

Quantum ESPRESSO input file:
```
&SYSTEM
  ibrav = 0, nat = 9, ntyp = 3
/
ATOMIC_SPECIES
K 39.10 K.upf
Sn 118.71 Sn.upf
O 16.00 O.upf
CELL_PARAMETERS angstrom
3.2222 0.0000 0.0000
-0.0133 5.1141 0.0000
-1.0262 -2.0709 10.0340
ATOMIC_POSITIONS crystal
K 0.0806 0.1085 0.2611
K 0.9194 0.8915 0.7389
Sn 0.5000 0.5000 0.0000
O 0.0466 0.5146 0.1348
O 0.3828 0.0640 0.5432
O 0.4850 0.0610 0.9450
O 0.5150 0.9390 0.0550
O 0.6172 0.9360 0.4568
O 0.9534 0.4854 0.8652
```

=====

No. 9
# K4SnO3

Crystalline K4SnO3 at its relaxed geometry (PBE-GGA, the Materials Project). Values from VASP.

Calculated values
Energy of formation: -36.7 kcal/mol of atoms
E: -4.25 eV/atom
Calculated density: 2.96 g/cm3

Quantum ESPRESSO input file:
```
&SYSTEM
  ibrav = 0, nat = 64, ntyp = 3
/
ATOMIC_SPECIES
K 39.10 K.upf
Sn 118.71 Sn.upf
O 16.00 O.upf
CELL_PARAMETERS angstrom
6.5890 0.0000 0.0000
0.0000 11.5070 0.0000
0.0000 0.0000 19.1157
ATOMIC_POSITIONS crystal
K 0.0451 0.1104 0.2042
K 0.0451 0.3896 0.7042
K 0.1238 0.6761 0.6548
K 0.1238 0.8239 0.1548
K 0.2310 0.1881 0.4432
K 0.2310 0.3119 0.9432
K 0.2446 0.0547 0.0358
K 0.2446 0.4453 0.5358
K 0.2554 0.5547 0.0358
K 0.2554 0.9453 0.5358
K 0.2690 0.6881 0.4432
K 0.2690 0.8119 0.9432
K 0.3762 0.1761 0.6548
K 0.3762 0.3239 0.1548
K 0.4549 0.6104 0.2042
K 0.4549 0.8896 0.7042
K 0.5451 0.1104 0.2958
K 0.5451 0.3896 0.7958
K 0.6238 0.6761 0.8452
K 0.6238 0.8239 0.3452
K 0.7310 0.1881 0.0568
K 0.7310 0.3119 0.5568
K 0.7446 0.0547 0.4642
K 0.7446 0.4453 0.9642
K 0.7554 0.5547 0.4642
K 0.7554 0.9453 0.9642
K 0.7690 0.6881 0.0568
K 0.7690 0.8119 0.5568
K 0.8762 0.1761 0.8452
K 0.8762 0.3239 0.3452
K 0.9549 0.6104 0.2958
K 0.9549 0.8896 0.7958
Sn 0.1075 0.5665 0.8511
Sn 0.1075 0.9335 0.3511
Sn 0.3925 0.0665 0.8511
Sn 0.3925 0.4335 0.3511
Sn 0.6075 0.5665 0.6489
Sn 0.6075 0.9335 0.1489
Sn 0.8925 0.0665 0.6489
Sn 0.8925 0.4335 0.1489
O 0.0406 0.5943 0.1556
O 0.0406 0.9057 0.6556
O 0.0437 0.1473 0.5663
O 0.0437 0.3527 0.0663
O 0.1243 0.0183 0.9007
O 0.1243 0.4817 0.4007
O 0.3757 0.5183 0.9007
O 0.3757 0.9817 0.4007
O 0.4563 0.6473 0.5663
O 0.4563 0.8527 0.0663
O 0.4594 0.0943 0.1556
O 0.4594 0.4057 0.6556
O 0.5406 0.5943 0.3444
O 0.5406 0.9057 0.8444
O 0.5437 0.1473 0.9337
O 0.5437 0.3527 0.4337
O 0.6243 0.0183 0.5993
O 0.6243 0.4817 0.0993
O 0.8757 0.5183 0.5993
O 0.8757 0.9817 0.0993
O 0.9563 0.6473 0.9337
O 0.9563 0.8527 0.4337
O 0.9594 0.0943 0.3444
O 0.9594 0.4057 0.8444
```